Li9Mn7O16 | the Materials Project | GGA+U | optimized geometry; calculated formation energy = -68.0 eV/f.u.; relative energy among the computed polymorphs = 0.0185 eV per atom
1.0
10.545 0.000 0.000
0.000 2.875 0.000
-4.229 0.000 9.821
Li Mn O
9 7 16
Direct
0.000 0.000 0.000
0.241 0.000 0.245
0.243 0.500 0.002
0.247 0.000 0.753
0.254 0.500 0.496
0.746 0.500 0.504
0.753 0.000 0.247
0.757 0.500 0.998
0.759 0.000 0.755
0.000 0.000 0.500
0.006 0.500 0.240
0.499 0.500 0.250
0.500 0.000 0.000
0.500 0.000 0.500
0.501 0.500 0.750
0.994 0.500 0.760
0.105 0.500 0.623
0.111 0.500 0.140
0.113 0.000 0.862
0.114 0.000 0.363
0.380 0.000 0.140
0.381 0.000 0.641
0.383 0.500 0.890
0.384 0.500 0.390
0.616 0.500 0.610
0.617 0.500 0.110
0.619 0.000 0.359
0.620 0.000 0.860
0.886 0.000 0.637
0.887 0.000 0.138
0.889 0.500 0.860
0.895 0.500 0.377

FeO2 | the Materials Project | GGA+U | optimized geometry; calculated formation energy = -3.3 eV/f.u.
1.0
0.000 4.078 4.078
4.078 0.000 4.078
4.078 4.078 0.000
Fe O
4 8
Direct
0.000 0.000 0.000
0.000 0.000 0.500
0.000 0.500 0.000
0.500 0.000 0.000
0.210 0.763 0.763
0.237 0.237 0.237
0.237 0.237 0.790
0.237 0.790 0.237
0.763 0.210 0.763
0.763 0.763 0.210
0.763 0.763 0.763
0.790 0.237 0.237